Entry 1:
The following is a DFT calculation (PBE+U) of a relaxed structure of V2O3F.

Output
* ΔE to the lowest computed polymorph: 0 meV/atom
* crystal system: monoclinic
* symmetry: C2/m (12)

a = 4.821 Å, b = 4.821 Å, c = 5.903 Å
α = 89.96°, β = 90.04°, γ = 96.63°
Sites, in units of the cell vectors:
F (0.808, 0.192, 0.751)
F (0.192, 0.808, 0.249)
V (0.000, 0.000, 0.000)
V (0.000, 0.000, 0.500)
V (0.441, 0.559, 0.750)
V (0.559, 0.441, 0.250)
O (0.309, 0.309, 0.500)
O (0.691, 0.690, 0.500)
O (0.805, 0.195, 0.249)
O (0.195, 0.805, 0.751)
O (0.309, 0.309, 0.000)
O (0.691, 0.691, 0.000)

Entry 2:
The following is a DFT calculation (PBE+U) of a relaxed structure of V6O7F5.

Output
* magnetic moment: 11.0 μB per formula unit
* ΔE to the lowest computed polymorph: 19 meV/atom
* crystal system: triclinic
* symmetry: P1 (1)

a = 5.594 Å, b = 5.602 Å, c = 7.438 Å
α = 71.78°, β = 72.23°, γ = 71.01°
Sites, in units of the cell vectors:
O (0.432, 0.426, 0.364)
O (0.030, 0.642, 0.667)
O (0.235, 0.239, 0.971)
O (0.300, 0.702, 0.000)
O (0.983, 0.351, 0.331)
O (0.623, 0.032, 0.670)
O (0.695, 0.311, 0.003)
F (0.090, 0.104, 0.706)
F (0.889, 0.890, 0.305)
F (0.573, 0.562, 0.627)
F (0.374, 0.958, 0.333)
F (0.775, 0.775, 0.034)
V (0.010, 0.023, 0.008)
V (0.672, 0.671, 0.830)
V (0.981, 0.997, 0.508)
V (0.335, 0.357, 0.151)
V (0.331, 0.335, 0.665)
V (0.673, 0.624, 0.328)

Entry 3:
The following is a DFT calculation (PBE+U) of a relaxed structure of V2OF5.

Output
* magnetic moment: 3.0 μB per formula unit
* ΔE to the lowest computed polymorph: 71 meV/atom
* crystal system: triclinic
* symmetry: P1 (1)

a = 8.434 Å, b = 8.459 Å, c = 4.569 Å
α = 90.45°, β = 90.26°, γ = 59.98°
Sites, in units of the cell vectors:
F (0.456, 0.095, 0.752)
F (0.547, 0.901, 0.251)
F (0.782, 0.424, 0.745)
F (0.903, 0.548, 0.247)
F (0.769, 0.115, 0.751)
F (0.211, 0.578, 0.249)
F (0.545, 0.550, 0.248)
F (0.118, 0.119, 0.748)
F (0.119, 0.760, 0.750)
F (0.453, 0.449, 0.751)
F (0.234, 0.882, 0.249)
F (0.881, 0.246, 0.249)
F (0.787, 0.793, 0.747)
F (0.882, 0.874, 0.249)
F (0.214, 0.212, 0.252)
V (0.663, 0.013, 0.480)
V (0.006, 0.654, 0.983)
V (0.007, 0.340, 0.517)
V (0.340, 0.986, 0.984)
V (0.341, 0.674, 0.517)
V (0.663, 0.324, 0.018)
O (0.412, 0.794, 0.749)
O (0.592, 0.204, 0.251)
O (0.077, 0.461, 0.750)

Entry 4:
The following is a DFT calculation (PBE+U) of a relaxed structure of V3O4F2.

Output
* magnetic moment: 5.0 μB per formula unit
* ΔE to the lowest computed polymorph: 20 meV/atom
* crystal system: triclinic
* symmetry: P1 (1)

a = 4.646 Å, b = 5.586 Å, c = 7.750 Å
α = 86.36°, β = 88.71°, γ = 88.75°
Sites, in units of the cell vectors:
O (0.292, 0.474, 0.233)
O (0.690, 0.537, 0.770)
O (0.305, 0.132, 0.576)
O (0.807, 0.372, 0.436)
O (0.306, 0.796, 0.893)
O (0.203, 0.298, 0.912)
O (0.714, 0.862, 0.429)
O (0.796, 0.698, 0.098)
V (0.968, 0.645, 0.318)
V (0.005, 0.338, 0.671)
V (0.018, 0.989, 0.000)
V (0.506, 0.182, 0.353)
V (0.475, 0.509, 0.988)
V (0.509, 0.832, 0.657)
F (0.208, 0.963, 0.236)
F (0.697, 0.200, 0.103)
F (0.195, 0.637, 0.556)
F (0.805, 0.036, 0.772)

Entry 5:
The following is a DFT calculation (PBE+U) of a relaxed structure of V6O5F19.

Output
* ΔE to the lowest computed polymorph: 0 meV/atom
* crystal system: triclinic
* symmetry: P1 (1)

a = 5.305 Å, b = 5.549 Å, c = 14.780 Å
α = 100.20°, β = 89.88°, γ = 90.86°
Sites, in units of the cell vectors:
O (0.791, 0.367, 0.310)
O (0.705, 0.209, 0.977)
O (0.791, 0.033, 0.643)
O (0.708, 0.867, 0.309)
O (0.708, 0.533, 0.643)
V (0.010, 0.985, 0.001)
V (0.979, 0.277, 0.664)
V (0.530, 0.453, 0.997)
V (0.525, 0.774, 0.664)
V (0.979, 0.611, 0.331)
V (0.525, 0.108, 0.331)
F (0.913, 0.735, 0.448)
F (0.227, 0.975, 0.359)
F (0.795, 0.686, 0.976)
F (0.222, 0.297, 0.024)
F (0.584, 0.900, 0.781)
F (0.270, 0.479, 0.359)
F (0.079, 0.647, 0.220)
F (0.585, 0.233, 0.447)
F (0.410, 0.473, 0.887)
F (0.905, 0.053, 0.116)
F (0.271, 0.145, 0.692)
F (0.913, 0.400, 0.781)
F (0.078, 0.314, 0.553)
F (0.573, 0.563, 0.116)
F (0.227, 0.641, 0.692)
F (0.289, 0.811, 0.024)
F (0.419, 0.147, 0.221)
F (0.069, 0.971, 0.882)
F (0.421, 0.813, 0.553)

Entry 6:
The following is a DFT calculation (PBE+U) of a relaxed structure of V2OF5.

Output
* magnetic moment: 3.0 μB per formula unit
* ΔE to the lowest computed polymorph: 31 meV/atom
* crystal system: triclinic
* symmetry: P1 (1)

a = 5.128 Å, b = 5.350 Å, c = 5.129 Å
α = 118.13°, β = 118.99°, γ = 91.33°
Sites, in units of the cell vectors:
O (0.979, 0.224, 0.387)
V (0.154, 0.461, 0.326)
V (0.681, 0.988, 0.327)
F (0.915, 0.732, 0.429)
F (0.400, 0.217, 0.207)
F (0.316, 0.724, 0.224)
F (0.804, 0.232, 0.817)
F (0.512, 0.717, 0.817)

Entry 7:
The following is a DFT calculation (PBE+U) of a relaxed structure of V2O3F3.

Output
* ΔE to the lowest computed polymorph: 6 meV/atom
* crystal system: triclinic
* symmetry: P1 (1)

a = 5.209 Å, b = 13.229 Å, c = 5.184 Å
α = 89.01°, β = 119.20°, γ = 90.98°
Sites, in units of the cell vectors:
O (0.751, 0.414, 0.661)
O (0.346, 0.917, 0.259)
O (0.091, 0.584, 0.772)
O (0.657, 0.083, 0.745)
O (0.574, 0.749, 0.586)
O (0.419, 0.755, 0.014)
O (0.897, 0.413, 0.241)
O (0.232, 0.083, 0.903)
O (0.420, 0.247, 0.419)
F (0.566, 0.247, 0.984)
F (0.763, 0.915, 0.099)
F (0.330, 0.410, 0.083)
F (0.994, 0.748, 0.419)
F (0.984, 0.248, 0.569)
F (0.919, 0.910, 0.668)
F (0.078, 0.084, 0.338)
F (0.666, 0.583, 0.938)
F (0.257, 0.578, 0.353)
V (0.002, 0.506, 0.979)
V (0.023, 0.007, 0.982)
V (0.380, 0.165, 0.648)
V (0.606, 0.834, 0.304)
V (0.346, 0.676, 0.671)
V (0.700, 0.347, 0.364)

Entry 8:
The following is a DFT calculation (PBE+U) of a relaxed structure of V4O7F5.

Output
* magnetic moment: 1.0 μB per formula unit
* ΔE to the lowest computed polymorph: 37 meV/atom
* crystal system: triclinic
* symmetry: P1 (1)

a = 5.200 Å, b = 5.313 Å, c = 7.582 Å
α = 88.30°, β = 89.58°, γ = 88.32°
Sites, in units of the cell vectors:
O (0.214, 0.704, 0.537)
O (0.713, 0.222, 0.032)
O (0.418, 0.502, 0.254)
O (0.584, 0.499, 0.752)
O (0.279, 0.785, 0.968)
O (0.921, 0.003, 0.750)
O (0.076, 0.002, 0.246)
F (0.789, 0.301, 0.460)
F (0.301, 0.205, 0.540)
F (0.781, 0.719, 0.043)
F (0.698, 0.794, 0.456)
F (0.209, 0.295, 0.959)
V (0.463, 0.514, 0.469)
V (0.986, 0.994, 0.536)
V (0.532, 0.478, 0.967)
V (0.036, 0.984, 0.030)

Entry 9:
The following is a DFT calculation (PBE+U) of a relaxed structure of V2OF5.

Output
* magnetic moment: 3.0 μB per formula unit
* ΔE to the lowest computed polymorph: 77 meV/atom
* crystal system: trigonal
* symmetry: P312 (149)

a = 8.446 Å, b = 8.446 Å, c = 4.562 Å
α = 90.00°, β = 90.00°, γ = 120.00°
Sites, in units of the cell vectors:
F (0.784, 0.216, 0.000)
F (0.452, 0.903, 0.000)
F (0.097, 0.548, 0.000)
F (0.541, 0.459, 0.500)
F (0.452, 0.548, 0.000)
F (0.567, 0.784, 0.500)
F (0.541, 0.083, 0.500)
F (0.784, 0.569, 0.000)
F (0.216, 0.784, 0.500)
F (0.882, 0.764, 0.500)
F (0.216, 0.433, 0.500)
F (0.236, 0.118, 0.500)
F (0.431, 0.216, 0.000)
F (0.882, 0.118, 0.500)
F (0.917, 0.459, 0.500)
V (0.007, 0.676, 0.235)
V (0.007, 0.331, 0.765)
V (0.669, 0.676, 0.765)
V (0.324, 0.331, 0.235)
V (0.669, 0.993, 0.235)
V (0.324, 0.993, 0.765)
O (0.744, 0.872, 0.000)
O (0.128, 0.256, 0.000)
O (0.128, 0.872, 0.000)

Entry 10:
The following is a DFT calculation (PBE+U) of a relaxed structure of V2O3F3.

Output
* ΔE to the lowest computed polymorph: 10 meV/atom
* crystal system: triclinic
* symmetry: P1 (1)

a = 5.232 Å, b = 5.240 Å, c = 13.285 Å
α = 90.88°, β = 89.65°, γ = 119.42°
Sites, in units of the cell vectors:
V (0.321, 0.633, 0.819)
V (0.699, 0.363, 0.152)
V (0.022, 0.989, 0.491)
V (0.994, 0.971, 0.993)
V (0.681, 0.308, 0.660)
V (0.380, 0.656, 0.333)
F (0.253, 0.359, 0.924)
F (0.087, 0.343, 0.415)
F (0.335, 0.261, 0.584)
F (0.325, 0.091, 0.093)
F (0.409, 0.996, 0.753)
F (0.658, 0.922, 0.915)
F (0.985, 0.565, 0.253)
F (0.558, 0.993, 0.253)
F (0.919, 0.681, 0.591)
O (0.890, 0.237, 0.087)
O (0.230, 0.901, 0.418)
O (0.753, 0.659, 0.086)
O (0.761, 0.101, 0.584)
O (0.425, 0.433, 0.252)
O (0.097, 0.779, 0.919)
O (0.557, 0.569, 0.754)
O (0.001, 0.431, 0.757)
O (0.661, 0.759, 0.414)

Entry 11:
The following is a DFT calculation (PBE+U) of a relaxed structure of V2O3F.

Output
* magnetic moment: 3.0 μB per formula unit
* ΔE to the lowest computed polymorph: 20 meV/atom
* crystal system: orthorhombic
* symmetry: Amm2 (38)

a = 4.663 Å, b = 4.663 Å, c = 15.242 Å
α = 90.00°, β = 90.00°, γ = 93.55°
Sites, in units of the cell vectors:
O (0.302, 0.294, 0.897)
O (0.692, 0.692, 0.300)
O (0.308, 0.308, 0.700)
O (0.803, 0.197, 0.800)
O (0.197, 0.803, 0.601)
O (0.806, 0.194, 0.000)
O (0.308, 0.308, 0.300)
O (0.197, 0.803, 0.399)
O (0.691, 0.694, 0.500)
O (0.803, 0.197, 0.200)
O (0.692, 0.692, 0.700)
O (0.306, 0.309, 0.500)
O (0.706, 0.698, 0.897)
O (0.302, 0.294, 0.103)
O (0.706, 0.698, 0.103)
V (0.538, 0.462, 0.799)
V (0.007, 0.993, 0.500)
V (0.514, 0.486, 0.000)
V (0.460, 0.540, 0.600)
V (0.984, 0.016, 0.901)
V (0.984, 0.016, 0.099)
V (0.000, 0.000, 0.299)
V (0.460, 0.540, 0.400)
V (0.538, 0.462, 0.201)
V (0.000, 0.000, 0.701)
F (0.799, 0.201, 0.600)
F (0.799, 0.201, 0.400)
F (0.200, 0.800, 0.801)
F (0.200, 0.800, 0.000)
F (0.200, 0.800, 0.199)

Entry 12:
The following is a DFT calculation (PBE+U) of a relaxed structure of V2OF8.

Output
* magnetic moment: 0.0 μB per formula unit
* crystal system: monoclinic
* symmetry: P2/c (13)

a = 5.382 Å, b = 9.109 Å, c = 14.971 Å
α = 75.51°, β = 90.00°, γ = 90.00°
Sites, in units of the cell vectors:
V (0.060, 0.455, 0.661)
V (0.193, 0.903, 0.375)
V (0.807, 0.097, 0.625)
V (0.060, 0.545, 0.839)
V (0.807, 0.903, 0.875)
V (0.940, 0.455, 0.161)
V (0.193, 0.097, 0.125)
V (0.940, 0.545, 0.339)
F (0.350, 0.532, 0.893)
F (0.444, 0.139, 0.191)
F (0.650, 0.468, 0.107)
F (0.889, 0.922, 0.415)
F (0.111, 0.922, 0.915)
F (0.093, 0.403, 0.423)
F (0.444, 0.861, 0.309)
F (0.703, 0.919, 0.618)
F (0.952, 0.000, 0.750)
F (0.093, 0.597, 0.077)
F (0.809, 0.500, 0.750)
F (0.350, 0.468, 0.607)
F (0.889, 0.078, 0.085)
F (0.192, 0.364, 0.780)
F (0.808, 0.636, 0.220)
F (0.048, 0.000, 0.250)
F (0.317, 0.195, 0.019)
F (0.556, 0.861, 0.809)
F (0.650, 0.532, 0.393)
F (0.111, 0.078, 0.585)
F (0.317, 0.805, 0.481)
F (0.907, 0.597, 0.577)
F (0.191, 0.500, 0.250)
F (0.907, 0.403, 0.923)
F (0.297, 0.081, 0.382)
F (0.297, 0.919, 0.118)
F (0.683, 0.805, 0.981)
F (0.808, 0.364, 0.280)
F (0.556, 0.139, 0.691)
F (0.683, 0.195, 0.519)
F (0.703, 0.081, 0.882)
F (0.192, 0.636, 0.720)
O (0.941, 0.702, 0.857)
O (0.059, 0.298, 0.143)
O (0.059, 0.702, 0.357)
O (0.941, 0.298, 0.643)

Across the entries above, energy of formation from the pure elements takes the values -2669.8; -2742.8; -2973.5; -2696.5; -2739.8; -3014.0; -2649.1; -2519.7; -2967.8; -2644.8; -2649.5; -2749.8 meV per atom, respectively.